The following is a PBE with a Hubbard U calculation of a geometry-optimized MgCo5P8O28 structure, from the Materials Project.

Structure (POSCAR):
```
MgCo5P8O28
1.0
7.477 0.000 0.000
0.497 7.874 0.000
0.178 3.291 9.671
Mg Co P O
1 5 8 28
direct
0.000 0.000 0.000
0.000 0.000 0.500
0.249 0.343 0.440
0.260 0.371 0.897
0.740 0.629 0.103
0.751 0.657 0.560
0.024 0.269 0.193
0.217 0.048 0.754
0.319 0.693 0.195
0.338 0.712 0.480
0.662 0.288 0.520
0.681 0.307 0.805
0.783 0.952 0.246
0.976 0.731 0.807
0.050 0.913 0.823
0.105 0.203 0.342
0.134 0.597 0.819
0.143 0.150 0.603
0.166 0.316 0.081
0.180 0.167 0.849
0.202 0.854 0.500
0.208 0.529 0.269
0.208 0.840 0.094
0.268 0.523 0.535
0.382 0.763 0.320
0.391 0.947 0.764
0.487 0.268 0.449
0.492 0.634 0.137
0.508 0.366 0.863
0.513 0.732 0.551
0.609 0.053 0.236
0.618 0.237 0.680
0.732 0.477 0.465
0.792 0.160 0.906
0.792 0.471 0.731
0.798 0.146 0.500
0.820 0.833 0.151
0.834 0.684 0.919
0.857 0.850 0.397
0.866 0.403 0.181
0.895 0.797 0.658
0.950 0.087 0.177
```

Values from the calculation:
As for the space-group type: P-1 (2). As for the energy with MP2020 corrections: -7.458 eV/atom. As for the total energy: -285.8 eV per cell. The value obtained for the formation energy is -216.55 kJ per mole of atoms.



The following is a PBE with a Hubbard U calculation of a geometry-optimized MgCo4P12O36 structure, from the Materials Project.

Structure (POSCAR):
```
MgCo4P12O36
1.0
8.488 0.000 0.000
-0.017 8.577 0.000
-0.074 -0.175 8.730
Mg Co P O
1 4 12 36
direct
0.000 0.000 0.000
0.023 0.283 0.758
0.293 0.765 0.960
0.523 0.491 0.465
0.773 0.986 0.276
0.121 0.806 0.295
0.185 0.315 0.429
0.334 0.148 0.924
0.354 0.827 0.558
0.449 0.440 0.063
0.466 0.121 0.420
0.620 0.950 0.921
0.685 0.456 0.804
0.830 0.617 0.296
0.853 0.937 0.666
0.944 0.315 0.178
0.965 0.655 0.809
0.006 0.668 0.351
0.019 0.939 0.233
0.036 0.760 0.934
0.059 0.517 0.759
0.060 0.262 0.536
0.105 0.357 0.269
0.195 0.857 0.457
0.244 0.011 0.988
0.246 0.749 0.189
0.255 0.229 0.794
0.289 0.168 0.371
0.291 0.447 0.479
0.305 0.800 0.719
0.338 0.541 0.975
0.374 0.266 0.063
0.433 0.000 0.555
0.462 0.715 0.474
0.498 0.474 0.225
0.508 0.095 0.876
0.522 0.818 0.974
0.541 0.038 0.287
0.548 0.263 0.489
0.561 0.510 0.694
0.607 0.411 0.964
0.690 0.910 0.755
0.750 0.753 0.225
0.751 0.539 0.429
0.756 0.002 0.023
0.792 0.605 0.862
0.793 0.325 0.757
0.818 0.977 0.506
0.838 0.213 0.267
0.871 0.488 0.164
0.927 0.763 0.665
0.959 0.041 0.766
0.992 0.253 0.021
```

Values from the calculation:
As for the space-group type: P1 (1). As for the energy with MP2020 corrections: -7.553 eV/atom. As for the total energy: -369.0 eV per cell. The value obtained for the formation energy is -231.55 kJ per mole of atoms.



The following is a PBE with a Hubbard U calculation of a geometry-optimized MgCo4P8O28 structure, from the Materials Project.

Structure (POSCAR):
```
MgCo4P8O28
1.0
7.009 0.000 0.000
-0.139 8.322 0.000
-3.318 -1.033 9.201
Mg Co P O
1 4 8 28
direct
0.000 0.000 0.000
0.087 0.119 0.734
0.136 0.980 0.322
0.540 0.573 0.299
0.542 0.529 0.789
0.287 0.402 0.978
0.304 0.696 0.512
0.354 0.862 0.100
0.356 0.219 0.575
0.736 0.348 0.569
0.742 0.752 0.091
0.882 0.296 0.958
0.910 0.819 0.503
0.052 0.434 0.965
0.071 0.681 0.509
0.201 0.863 0.947
0.210 0.190 0.417
0.281 0.227 0.908
0.301 0.010 0.190
0.316 0.091 0.666
0.328 0.860 0.455
0.337 0.557 0.411
0.343 0.391 0.643
0.346 0.533 0.897
0.350 0.713 0.178
0.412 0.406 0.140
0.437 0.702 0.675
0.578 0.888 0.094
0.580 0.202 0.569
0.677 0.373 0.916
0.686 0.400 0.418
0.703 0.729 0.456
0.715 0.695 0.931
0.733 0.485 0.689
0.741 0.626 0.190
0.891 0.151 0.844
0.924 0.940 0.398
0.932 0.217 0.097
0.942 0.863 0.138
0.943 0.271 0.609
0.958 0.911 0.657
```

Values from the calculation:
As for the space-group type: P1 (1). As for the energy with MP2020 corrections: -7.343 eV/atom. As for the total energy: -275.3 eV per cell. The value obtained for the formation energy is -209.90 kJ per mole of atoms.



The following is a PBE with a Hubbard U calculation of a geometry-optimized MgCo5P8O28 structure, from the Materials Project.

Structure (POSCAR):
```
MgCo5P8O28
1.0
7.369 0.000 0.000
0.659 7.777 0.000
0.347 2.959 9.735
Mg Co P O
1 5 8 28
direct
0.000 0.000 0.000
0.200 0.949 0.322
0.244 0.950 0.767
0.458 0.299 0.723
0.685 0.658 0.139
0.702 0.645 0.663
0.095 0.630 0.030
0.112 0.582 0.750
0.249 0.258 0.464
0.416 0.046 0.036
0.478 0.568 0.417
0.664 0.337 0.984
0.794 0.984 0.424
0.805 0.007 0.705
0.025 0.574 0.897
0.066 0.353 0.452
0.168 0.470 0.136
0.212 0.751 0.690
0.215 0.788 0.967
0.229 0.032 0.113
0.238 0.411 0.766
0.293 0.112 0.390
0.317 0.167 0.617
0.331 0.719 0.375
0.385 0.080 0.880
0.409 0.391 0.400
0.490 0.226 0.050
0.532 0.522 0.571
0.556 0.891 0.095
0.610 0.434 0.831
0.650 0.597 0.325
0.668 0.478 0.061
0.670 0.833 0.491
0.673 0.173 0.691
0.704 0.151 0.333
0.706 0.832 0.758
0.830 0.207 0.999
0.893 0.017 0.558
0.917 0.738 0.070
0.944 0.570 0.665
0.957 0.909 0.349
0.965 0.013 0.796
```

Values from the calculation:
As for the space-group type: P1 (1). As for the energy with MP2020 corrections: -7.443 eV/atom. As for the total energy: -285.2 eV per cell. The value obtained for the formation energy is -215.08 kJ per mole of atoms.



The following is a PBE with a Hubbard U calculation of a geometry-optimized MgCo5P8O28 structure, from the Materials Project.

Structure (POSCAR):
```
MgCo5P8O28
1.0
7.502 0.000 0.000
0.577 7.883 0.000
3.113 0.323 9.740
Mg Co P O
1 5 8 28
direct
0.000 0.000 0.000
0.009 0.658 0.469
0.345 0.917 0.407
0.680 0.179 0.353
0.743 0.149 0.796
0.969 0.647 0.004
0.035 0.273 0.122
0.077 0.267 0.397
0.113 0.854 0.721
0.270 0.749 0.152
0.447 0.064 0.659
0.600 0.971 0.096
0.618 0.565 0.435
0.665 0.548 0.714
0.073 0.693 0.809
0.110 0.437 0.451
0.123 0.798 0.075
0.125 0.830 0.569
0.146 0.286 0.232
0.162 0.190 0.995
0.184 0.806 0.307
0.209 0.131 0.433
0.320 0.901 0.717
0.342 0.229 0.692
0.355 0.574 0.142
0.421 0.892 0.081
0.475 0.703 0.414
0.522 0.617 0.837
0.528 0.028 0.500
0.545 0.025 0.248
0.569 0.515 0.594
0.587 0.402 0.367
0.610 0.018 0.722
0.646 0.125 0.997
0.759 0.374 0.746
0.771 0.844 0.062
0.818 0.626 0.379
0.824 0.667 0.642
0.873 0.218 0.446
0.883 0.139 0.187
0.936 0.442 0.106
0.981 0.006 0.794
```

Values from the calculation:
As for the space-group type: P1 (1). As for the energy with MP2020 corrections: -7.421 eV/atom. As for the total energy: -284.2 eV per cell. The value obtained for the formation energy is -212.91 kJ per mole of atoms.



The following is a PBE with a Hubbard U calculation of a geometry-optimized MgCo4P12O36 structure, from the Materials Project.

Structure (POSCAR):
```
MgCo4P12O36
1.0
8.588 0.000 0.000
0.116 8.623 0.000
0.055 0.085 8.871
Mg Co P O
1 4 12 36
direct
0.000 0.000 0.000
0.176 0.859 0.229
0.408 0.388 0.987
0.658 0.671 0.494
0.916 0.170 0.681
0.106 0.504 0.170
0.108 0.811 0.799
0.250 0.347 0.656
0.329 0.849 0.537
0.464 0.016 0.042
0.497 0.337 0.404
0.575 0.716 0.897
0.608 0.036 0.544
0.734 0.218 0.046
0.822 0.700 0.145
0.968 0.536 0.654
0.975 0.212 0.289
0.021 0.650 0.789
0.061 0.376 0.293
0.070 0.104 0.189
0.138 0.486 0.591
0.153 0.211 0.701
0.162 0.831 0.960
0.182 0.632 0.252
0.194 0.426 0.041
0.195 0.910 0.446
0.259 0.790 0.697
0.343 0.309 0.504
0.362 0.412 0.770
0.383 0.153 0.967
0.388 0.938 0.174
0.429 0.722 0.473
0.434 0.990 0.595
0.450 0.363 0.245
0.465 0.613 0.983
0.513 0.894 0.913
0.576 0.165 0.415
0.603 0.450 0.484
0.614 0.693 0.735
0.632 0.349 0.989
0.634 0.071 0.098
0.686 0.896 0.472
0.689 0.107 0.675
0.710 0.657 0.266
0.740 0.722 0.985
0.814 0.262 0.201
0.860 0.165 0.938
0.886 0.402 0.723
0.886 0.629 0.533
0.922 0.843 0.162
0.936 0.167 0.446
0.939 0.555 0.104
0.996 0.942 0.760
```

Values from the calculation:
As for the space-group type: P1 (1). As for the energy with MP2020 corrections: -7.506 eV/atom. As for the total energy: -366.5 eV per cell. The value obtained for the formation energy is -226.99 kJ per mole of atoms.



The following is a PBE with a Hubbard U calculation of a geometry-optimized MgCo5P8O28 structure, from the Materials Project.

Structure (POSCAR):
```
MgCo5P8O28
1.0
7.592 0.000 0.000
0.297 7.799 0.000
0.614 3.223 9.779
Mg Co P O
1 5 8 28
direct
0.000 0.000 0.000
0.248 0.564 0.523
0.306 0.517 0.057
0.517 0.907 0.447
0.718 0.299 0.830
0.778 0.253 0.382
0.140 0.205 0.752
0.173 0.200 0.468
0.328 0.842 0.196
0.469 0.658 0.757
0.578 0.154 0.135
0.690 0.984 0.702
0.861 0.611 0.437
0.909 0.592 0.159
0.012 0.626 0.531
0.013 0.188 0.383
0.070 0.492 0.114
0.080 0.163 0.618
0.162 0.952 0.153
0.211 0.039 0.856
0.252 0.390 0.423
0.261 0.368 0.699
0.306 0.055 0.467
0.319 0.598 0.865
0.350 0.768 0.352
0.367 0.692 0.130
0.411 0.687 0.611
0.438 0.303 0.089
0.497 0.969 0.136
0.524 0.850 0.760
0.626 0.143 0.758
0.633 0.123 0.282
0.633 0.531 0.790
0.670 0.053 0.545
0.729 0.761 0.423
0.738 0.178 0.030
0.758 0.458 0.207
0.780 0.421 0.487
0.857 0.895 0.757
0.868 0.773 0.057
0.965 0.248 0.827
0.970 0.631 0.295
```

Values from the calculation:
As for the space-group type: P1 (1). As for the energy with MP2020 corrections: -7.465 eV/atom. As for the total energy: -286.1 eV per cell. The value obtained for the formation energy is -217.21 kJ per mole of atoms.



The following is a PBE with a Hubbard U calculation of a geometry-optimized MgCo5P8O28 structure, from the Materials Project.

Structure (POSCAR):
```
MgCo5P8O28
1.0
7.324 0.000 0.000
0.647 7.896 0.000
0.673 3.015 9.731
Mg Co P O
1 5 8 28
direct
0.000 0.000 0.000
0.262 0.951 0.667
0.276 0.927 0.229
0.504 0.295 0.618
0.735 0.672 0.011
0.754 0.631 0.548
0.152 0.647 0.916
0.160 0.588 0.643
0.277 0.253 0.369
0.459 0.051 0.927
0.529 0.550 0.307
0.705 0.342 0.870
0.833 0.973 0.298
0.842 0.002 0.577
0.007 0.014 0.659
0.010 0.932 0.210
0.071 0.584 0.791
0.097 0.352 0.364
0.218 0.491 0.026
0.251 0.764 0.577
0.281 0.015 0.022
0.294 0.427 0.659
0.301 0.111 0.291
0.301 0.775 0.837
0.346 0.156 0.519
0.376 0.702 0.275
0.408 0.089 0.774
0.443 0.376 0.299
0.522 0.235 0.935
0.582 0.507 0.460
0.613 0.911 0.972
0.664 0.421 0.712
0.691 0.580 0.207
0.702 0.489 0.933
0.706 0.158 0.576
0.714 0.115 0.209
0.740 0.800 0.370
0.749 0.824 0.632
0.870 0.211 0.891
0.921 0.024 0.423
0.988 0.766 0.956
0.999 0.565 0.561
```

Values from the calculation:
As for the space-group type: P1 (1). As for the energy with MP2020 corrections: -7.446 eV/atom. As for the total energy: -285.3 eV per cell. The value obtained for the formation energy is -215.36 kJ per mole of atoms.



The following is a PBE with a Hubbard U calculation of a geometry-optimized MgCo2P2O8 structure, from the Materials Project.

Structure (POSCAR):
```
MgCo2P2O8
1.0
4.985 0.000 0.000
2.418 4.455 0.000
2.316 0.957 8.106
Mg Co P O
1 2 2 8
direct
0.000 0.000 0.000
0.102 0.371 0.282
0.747 0.747 0.733
0.349 0.364 0.881
0.752 0.006 0.379
0.153 0.278 0.045
0.176 0.415 0.745
0.384 0.648 0.896
0.494 0.306 0.319
0.647 0.809 0.524
0.686 0.094 0.856
0.904 0.815 0.225
0.990 0.071 0.425
```

Values from the calculation:
As for the space-group type: P1 (1). As for the energy with MP2020 corrections: -7.458 eV/atom. As for the total energy: -88.2 eV per cell. The value obtained for the formation energy is -228.03 kJ per mole of atoms.